Entry 1:
ZnNi4O10: optimized geometry, PBE+U.

Summary:
DFT formation energy = -0.672 eV/atom
Total moment = 2.004 μB per formula unit
DFT total energy = -66.903 eV/f.u.
Calculated density = 4.943 g cm⁻³

a b c (Å): 2.8373 10.8828 5.2326
angles (deg): 96.18 74.31 90.03
Fractional positions:
1 Zn 0.4000 0.8000 0.2000
2 O 0.3865 0.9890 0.2270
3 O 0.7723 0.7646 0.4577
4 Ni 0.1988 0.3977 0.6024
5 O 0.8171 0.4185 0.3654
6 O 0.4135 0.6110 0.1730
7 Ni 0.6012 0.2023 0.7976
8 O 0.9829 0.1815 0.0346
9 O 0.0277 0.8354 0.9423
10 O 0.1764 0.5714 0.6477
11 Ni 0.0046 0.0074 0.9905
12 Ni 0.7954 0.5926 0.4095
13 O 0.6236 0.0286 0.7523
14 O 0.2194 0.2236 0.5608
15 O 0.5806 0.3764 0.8392

Entry 2:
TiFe2Bi2PbO9: optimized geometry, PBE+U.

Summary:
DFT formation energy = -1.995 eV/atom
Total moment = 10.002 μB per formula unit
DFT total energy = -100.095 eV/f.u.
Calculated density = 7.857 g cm⁻³
E above lowest polymorph = 0.005 eV/atom

a b c (Å): 5.6529 5.6529 14.1849
angles (deg): 90.00 90.00 120.00
Fractional positions:
1 Fe 0.6667 0.3333 0.9852
2 O 0.2219 0.3330 0.7473
3 O 0.6863 0.8010 0.2487
4 Fe 0.6667 0.3333 0.4822
5 O 0.8907 0.2410 0.5856
6 Bi 0.3333 0.6667 0.0309
7 Pb 0.0000 0.0000 0.8871
8 O 0.5312 0.5496 0.9165
9 O 0.5559 0.9837 0.4170
10 Bi 0.6667 0.3333 0.6995
11 O 0.0184 0.4688 0.9165
12 Pb 0.6667 0.3333 0.2181
13 Ti 0.0000 0.0000 0.1427
14 O 0.0163 0.5722 0.4170
15 Fe 0.3333 0.6667 0.3133
16 O 0.7590 0.6497 0.5856
17 O 0.3339 0.2158 0.0798
18 O 0.4504 0.9816 0.9165
19 O 0.7842 0.1180 0.0798
20 Bi 0.3333 0.6667 0.5339
21 O 0.6670 0.8888 0.7473
22 Bi 0.0000 0.0000 0.3663
23 O 0.3503 0.1093 0.5856
24 Fe 0.0000 0.0000 0.6540
25 O 0.8820 0.6661 0.0798
26 O 0.1112 0.7781 0.7473
27 O 0.4278 0.4441 0.4170
28 Ti 0.3333 0.6667 0.8085
29 O 0.1148 0.3137 0.2487
30 O 0.1990 0.8852 0.2487

Entry 3:
V2GePb5O12: optimized geometry, PBE+U.

Summary:
DFT formation energy = -1.987 eV/atom
Total moment = 0.001 μB per formula unit
DFT total energy = -128.834 eV/f.u.
Calculated density = 6.801 g cm⁻³

a b c (Å): 7.4725 10.2478 10.3025
angles (deg): 60.23 90.00 90.00
Fractional positions:
1 O 0.6865 0.3476 0.7441
2 O 0.0000 0.8189 0.6982
3 O 0.5000 0.5111 0.8949
4 O 0.3153 0.9171 0.3431
5 O 0.0000 0.4932 0.0998
6 Pb 0.2660 0.3377 0.3347
7 V 0.0000 0.6052 0.3783
8 O 0.1840 0.6553 0.2609
9 Pb 0.0000 0.7484 0.9936
10 O 0.6847 0.9171 0.3431
11 O 0.0000 0.4832 0.8216
12 Pb 0.5000 0.7402 0.2579
13 O 0.1833 0.0833 0.6558
14 Ge 0.5000 0.6233 0.9839
15 Pb 0.7340 0.3377 0.3347
16 O 0.5000 0.5951 0.5075
17 V 0.0000 0.0160 0.6045
18 Pb 0.5000 0.9826 0.7600
19 O 0.5000 0.8983 0.5917
20 O 0.5000 0.3068 0.5093
21 O 0.3135 0.3476 0.7441
22 Pb 0.5000 0.2618 0.9757
23 O 0.1824 0.2580 0.0848
24 V 0.0000 0.3762 0.0193
25 O 0.0000 0.0972 0.4074
26 Pb 0.7500 0.6572 0.6757
27 O 0.0000 0.6974 0.4825
28 O 0.8176 0.2580 0.0848
29 O 0.3128 0.7463 0.9091
30 Pb 0.0000 0.2556 0.7457
31 O 0.5000 0.1798 0.3091
32 O 0.0000 0.4074 0.4931
33 V 0.5000 0.9827 0.3948
34 Ge 0.5000 0.3948 0.6205
35 O 0.6872 0.7463 0.9091
36 O 0.8160 0.6553 0.2609
37 O 0.8167 0.0833 0.6558
38 Pb 0.0000 0.0035 0.2515
39 O 0.5000 0.5164 0.1829
40 Pb 0.2500 0.6572 0.6757

Entry 4:
LiTiFe2O5: optimized geometry, PBE+U.

Summary:
DFT formation energy = -2.311 eV/atom
Total moment = 9.000 μB per formula unit
DFT total energy = -64.335 eV/f.u.
Calculated density = 4.247 g cm⁻³

a b c (Å): 5.4149 5.4520 7.6295
angles (deg): 80.70 70.34 65.38
Fractional positions:
1 Fe 0.9489 0.5238 0.2085
2 Ti 0.0879 0.5128 0.7867
3 O 0.1328 0.7670 0.2033
4 Ti 0.7540 0.0387 0.4101
5 O 0.0085 0.2209 0.4008
6 O 0.4319 0.2335 0.5971
7 O 0.9685 0.7753 0.6049
8 O 0.9044 0.2759 0.7850
9 O 0.5904 0.7754 0.4078
10 O 0.2393 0.2836 0.0045
11 Li 0.0047 0.0071 0.9930
12 Fe 0.5073 0.4916 0.0023
13 Fe 0.1971 0.9941 0.6047
14 Fe 0.3986 0.9725 0.1858
15 O 0.3205 0.7118 0.7937
16 Li 0.6853 0.4948 0.6061
17 O 0.7702 0.7005 0.0060
18 O 0.6517 0.2160 0.2001

Entry 5:
TbCuW2O8: optimized geometry, PBE+U.

Summary:
DFT formation energy = -2.377 eV/atom
Total moment = 0.000 μB per formula unit
DFT total energy = -88.390 eV/f.u.
Calculated density = 7.459 g cm⁻³

a b c (Å): 6.8471 10.0710 15.3753
angles (deg): 107.25 89.05 108.06
Fractional positions:
1 O 0.3722 0.1152 0.4998
2 Cu 0.0000 0.0000 0.5000
3 O 0.9531 0.5991 0.6653
4 O 0.2427 0.2534 0.6715
5 O 0.7229 0.2545 0.9195
6 O 0.0817 0.4698 0.8313
7 W 0.8376 0.8946 0.2577
8 O 0.6224 0.4333 0.2806
9 O 0.2981 0.7817 0.6033
10 O 0.2771 0.7455 0.0805
11 O 0.8325 0.2323 0.0641
12 O 0.0041 0.9430 0.6050
13 O 0.4318 0.0928 0.6839
14 O 0.9959 0.0570 0.3950
15 O 0.5682 0.9072 0.3161
16 O 0.6745 0.4077 0.7320
17 O 0.4066 0.0810 0.9954
18 O 0.3776 0.5667 0.7194
19 O 0.2423 0.2947 0.1707
20 Cu 0.5000 0.5000 0.5000
21 O 0.3255 0.5923 0.2680
22 O 0.7538 0.1939 0.6010
23 O 0.0922 0.8677 0.2517
24 Cu 0.6791 0.3373 0.8315
25 W 0.6495 0.5920 0.7150
26 O 0.1202 0.4310 0.0081
27 O 0.6278 0.8848 0.5002
28 W 0.1911 0.5805 0.9466
29 Cu 0.3209 0.6627 0.1685
30 O 0.0469 0.4009 0.3347
31 W 0.9754 0.2490 0.3955
32 Tb 0.9644 0.6025 0.3242
33 O 0.5593 0.4166 0.5840
34 O 0.0786 0.9690 0.0736
35 Tb 0.1954 0.2248 0.0149
36 W 0.3315 0.9380 0.0686
37 O 0.2844 0.2623 0.3491
38 O 0.9183 0.5302 0.1687
39 O 0.9214 0.0310 0.9264
40 O 0.0706 0.3540 0.5134
41 O 0.1675 0.7677 0.9359
42 O 0.7156 0.7377 0.6509
43 W 0.8089 0.4195 0.0534
44 O 0.7268 0.7902 0.1424
45 Cu 0.8295 0.1655 0.1652
46 O 0.8798 0.5690 0.9919
47 W 0.1624 0.1054 0.7423
48 O 0.5934 0.9190 0.0046
49 O 0.4622 0.6053 0.9405
50 O 0.4465 0.0458 0.1832
51 W 0.6685 0.0620 0.9314
52 W 0.0246 0.7510 0.6045
53 O 0.7573 0.7466 0.3285
54 O 0.2732 0.2098 0.8576
55 O 0.8916 0.0903 0.2537
56 W 0.3505 0.4080 0.2850
57 O 0.9294 0.6460 0.4866
58 O 0.5378 0.3947 0.0595
59 O 0.7577 0.7053 0.8293
60 O 0.9078 0.1323 0.7483
61 O 0.1084 0.9097 0.7463
62 O 0.2462 0.8061 0.3990
63 O 0.5535 0.9542 0.8168
64 Tb 0.6400 0.9486 0.6563
65 Tb 0.0356 0.3975 0.6758
66 W 0.4947 0.7670 0.3903
67 O 0.7019 0.2183 0.3967
68 W 0.5053 0.2330 0.6097
69 Tb 0.3600 0.0514 0.3437
70 Tb 0.8046 0.7752 0.9851
71 Cu 0.1705 0.8345 0.8348
72 O 0.4407 0.5834 0.4160

Entry 6:
Mn2PC11SO8F9: optimized geometry, PBE+U.

Summary:
DFT formation energy = -1.175 eV/atom
Total moment = 0.000 μB per formula unit
DFT total energy = -210.324 eV/f.u.
Calculated density = 2.011 g cm⁻³

a b c (Å): 9.2391 14.7022 15.3727
angles (deg): 72.82 90.00 90.00
Fractional positions:
1 C 0.5171 0.3683 0.0247
2 P 0.4648 0.1913 0.2899
3 Mn 0.4906 0.7133 0.8588
4 O 0.5809 0.3978 0.7537
5 P 0.9648 0.3087 0.7101
6 O 0.9494 0.3194 0.3535
7 F 0.4755 0.8943 0.1316
8 F 0.8147 0.5702 0.9790
9 C 0.4839 0.0583 0.3062
10 C 0.0161 0.5583 0.3062
11 O 0.5506 0.8194 0.3535
12 O 0.0506 0.6806 0.6465
13 C 0.1794 0.8221 0.3843
14 C 0.1507 0.3651 0.1023
15 O 0.1760 0.0626 0.8027
16 O 0.1431 0.6461 0.0642
17 Mn 0.0094 0.2133 0.8588
18 F 0.3147 0.9298 0.0210
19 F 0.4671 0.0050 0.3946
20 O 0.6431 0.8539 0.9358
21 C 0.3206 0.3221 0.3843
22 F 0.9671 0.4950 0.6054
23 C 0.2267 0.1452 0.4380
24 F 0.0790 0.3543 0.5381
25 C 0.2733 0.6452 0.4380
26 F 0.8863 0.5351 0.2767
27 C 0.8206 0.1779 0.6157
28 C 0.1801 0.2709 0.8697
29 S 0.7058 0.6428 0.8149
30 S 0.2942 0.3572 0.1851
31 O 0.4746 0.5808 0.0488
32 O 0.3650 0.3750 0.4207
33 F 0.0245 0.3943 0.1316
34 F 0.3792 0.7813 0.0838
35 S 0.2058 0.8572 0.1851
36 F 0.4210 0.8543 0.5381
37 Mn 0.2621 0.7378 0.3284
38 C 0.5607 0.2118 0.6576
39 C 0.8888 0.8782 0.1793
40 O 0.6760 0.4374 0.1973
41 O 0.1350 0.8750 0.4207
42 F 0.3660 0.7118 0.6258
43 Mn 0.9906 0.7867 0.1412
44 O 0.2174 0.0857 0.5067
45 C 0.4111 0.1995 0.0964
46 C 0.0889 0.6995 0.0964
47 O 0.7174 0.4143 0.4933
48 C 0.3199 0.7709 0.8697
49 O 0.8569 0.3539 0.9358
50 O 0.6350 0.6250 0.5793
51 F 0.3788 0.0292 0.2571
52 F 0.2568 0.8370 0.6458
53 O 0.0254 0.0808 0.0488
54 O 0.4191 0.6022 0.2463
55 C 0.9393 0.7118 0.6576
56 F 0.5329 0.9950 0.6054
57 C 0.8548 0.8452 0.7254
58 C 0.4829 0.6317 0.9753
59 C 0.9829 0.8683 0.0247
60 O 0.3240 0.5626 0.8027
61 F 0.6340 0.2882 0.3742
62 P 0.5352 0.8087 0.7101
63 O 0.2104 0.8070 0.8761
64 F 0.9755 0.6057 0.8684
65 C 0.1452 0.1548 0.2746
66 C 0.3493 0.8651 0.1023
67 F 0.0329 0.5050 0.3946
68 F 0.6137 0.0351 0.2767
69 F 0.1137 0.4649 0.7233
70 O 0.7826 0.9143 0.4933
71 C 0.3888 0.6218 0.8207
72 C 0.6452 0.3452 0.7254
73 C 0.1131 0.3040 0.6256
74 F 0.1340 0.2118 0.6258
75 C 0.6112 0.3782 0.1793
76 C 0.5161 0.9417 0.6938
77 O 0.5254 0.4192 0.9512
78 O 0.4494 0.1806 0.6465
79 F 0.5790 0.1457 0.4619
80 O 0.3569 0.1461 0.0642
81 F 0.8788 0.4708 0.7429
82 C 0.7267 0.3548 0.5620
83 C 0.0607 0.2882 0.3424
84 O 0.8650 0.1250 0.5793
85 F 0.6212 0.9708 0.7429
86 C 0.9111 0.3005 0.9036
87 F 0.2432 0.3370 0.6458
88 C 0.8199 0.7291 0.1303
89 O 0.9746 0.9192 0.9512
90 Mn 0.7621 0.7622 0.6716
91 F 0.8660 0.7882 0.3742
92 P 0.0352 0.6913 0.2899
93 C 0.1112 0.1218 0.8207
94 C 0.6507 0.1349 0.8977
95 F 0.8792 0.7187 0.9162
96 C 0.5889 0.8005 0.9036
97 F 0.6853 0.0702 0.9790
98 F 0.9210 0.6457 0.4619
99 C 0.4393 0.7882 0.3424
100 S 0.7942 0.1428 0.8149
101 C 0.6801 0.2291 0.1303
102 C 0.3869 0.8040 0.6256
103 O 0.7896 0.1930 0.1239
104 Mn 0.2379 0.2378 0.3284
105 O 0.2826 0.5857 0.5067
106 C 0.6794 0.6779 0.6157
107 C 0.0171 0.1317 0.9753
108 F 0.7568 0.6630 0.3542
109 Mn 0.5094 0.2867 0.1412
110 Mn 0.7379 0.2622 0.6716
111 O 0.9191 0.8978 0.7537
112 O 0.8240 0.9374 0.1973
113 F 0.1853 0.4298 0.0210
114 F 0.3863 0.9649 0.7233
115 C 0.8493 0.6349 0.8977
116 F 0.6208 0.2187 0.9162
117 F 0.1208 0.2813 0.0838
118 F 0.7432 0.1630 0.3542
119 C 0.7733 0.8548 0.5620
120 O 0.7104 0.6930 0.1239
121 O 0.0809 0.1022 0.2463
122 F 0.1212 0.5292 0.2571
123 O 0.2896 0.3070 0.8761
124 C 0.9839 0.4417 0.6938
125 F 0.5245 0.1057 0.8684
126 C 0.3548 0.6548 0.2746
127 C 0.6131 0.1960 0.3744
128 C 0.8869 0.6960 0.3744

Entry 7:
Li9Mn2Co5O16: optimized geometry, PBE+U.

Summary:
DFT formation energy = -1.658 eV/atom
Total moment = 0.212 μB per formula unit
DFT total energy = -180.748 eV/f.u.
Calculated density = 4.158 g cm⁻³
E above lowest polymorph = 0.206 eV/atom

a b c (Å): 5.1133 5.1133 20.6239
angles (deg): 81.33 81.33 32.83
Fractional positions:
1 Li 0.7489 0.7489 0.6924
2 Li 0.7451 0.7451 0.9425
3 Li 0.4949 0.4949 0.1242
4 Li 0.2466 0.2466 0.8111
5 O 0.1260 0.1260 0.1601
6 Co 0.4988 0.4988 0.6270
7 O 0.3818 0.3818 0.7223
8 Co 0.4971 0.4971 0.8767
9 Co 0.5026 0.5026 0.3688
10 Li 0.7569 0.7569 0.1843
11 Co 0.0141 0.0141 0.2370
12 Li 0.2452 0.2452 0.0706
13 O 0.6164 0.6164 0.2815
14 O 0.6159 0.6159 0.7815
15 Li 0.2601 0.2601 0.3058
16 O 0.3907 0.3907 0.4716
17 O 0.1109 0.1109 0.4106
18 O 0.1158 0.1158 0.6568
19 O 0.8866 0.8866 0.3471
20 O 0.6051 0.6051 0.0269
21 O 0.3806 0.3806 0.9726
22 O 0.8881 0.8881 0.8472
23 Mn 0.9888 0.9888 0.0057
24 O 0.3898 0.3898 0.2214
25 Li 0.7513 0.7513 0.4317
26 Li 0.2490 0.2490 0.5649
27 O 0.1013 0.1013 0.9096
28 O 0.8923 0.8923 0.5867
29 Mn 0.0021 0.0021 0.4991
30 O 0.8804 0.8804 0.0864
31 O 0.6156 0.6156 0.5254
32 Co 0.0011 0.0011 0.7507

Entry 8:
Na7W8O24: optimized geometry, PBE+U.

Summary:
DFT formation energy = -2.132 eV/atom
Total moment = 7.001 μB per formula unit
DFT total energy = -262.846 eV/f.u.
Calculated density = 6.844 g cm⁻³

a b c (Å): 8.8057 8.8057 8.8065
angles (deg): 66.44 66.44 53.18
Fractional positions:
1 O 0.5624 0.5624 0.2497
2 O 0.5000 0.0000 0.5000
3 O 0.0000 0.5000 0.5000
4 W 0.9378 0.4354 0.7512
5 O 0.8741 0.3781 0.0000
6 O 0.2496 0.7504 0.5000
7 Na 0.6250 0.6250 0.4999
8 Na 0.5000 0.5000 0.0000
9 O 0.3151 0.8109 0.7480
10 W 0.5646 0.0622 0.2488
11 W 0.6890 0.1866 0.7512
12 O 0.1891 0.6849 0.2520
13 Na 0.3750 0.3750 0.5001
14 W 0.8134 0.3110 0.2488
15 O 0.6849 0.1891 0.2520
16 W 0.0622 0.5646 0.2488
17 O 0.4376 0.4376 0.7503
18 Na 0.1249 0.1249 0.5007
19 O 0.7504 0.2496 0.5000
20 O 0.0630 0.0630 0.2521
21 W 0.1866 0.6890 0.7512
22 O 0.1259 0.6219 0.0000
23 O 0.1891 0.1891 0.7478
24 W 0.3110 0.8134 0.2488
25 O 0.5624 0.0624 0.7503
26 W 0.4354 0.9378 0.7512
27 O 0.9376 0.4376 0.2497
28 O 0.8109 0.8109 0.2522
29 O 0.3781 0.8741 0.0000
30 O 0.6219 0.1259 0.0000
31 O 0.6873 0.6873 0.7503
32 O 0.3127 0.3127 0.2497
33 O 0.4376 0.9376 0.2497
34 Na 0.8751 0.8751 0.4993
35 O 0.0624 0.5624 0.7503
36 Na 0.2496 0.2496 0.0000
37 O 0.9370 0.9370 0.7479
38 O 0.8109 0.3151 0.7480
39 Na 0.7504 0.7504 0.0000

- The lowest calculated density belongs to which entry?
  Mn2PC11SO8F9

- The highest DFT total energy belongs to which entry?
  LiTiFe2O5

- What is the total moment in the fourth record?
  9.000 μB per formula unit